Compound: K5InO4
Source: the Materials Project database
Functional: GGA-PBE
Structure: relaxed

Cell: 13.460 16.915 17.098 Å, 114.15 112.98 90.26°
Element x y z (fractional)
K (0.000, 0.083, 0.477)
K (0.000, 0.917, 0.523)
K (0.005, 0.606, 0.842)
K (0.007, 0.606, 0.033)
K (0.009, 0.802, 0.854)
K (0.021, 0.947, 0.059)
K (0.032, 0.435, 0.372)
K (0.034, 0.619, 0.243)
K (0.074, 0.863, 0.345)
K (0.103, 0.009, 0.769)
K (0.105, 0.213, 0.885)
K (0.110, 0.108, 0.280)
K (0.133, 0.756, 0.701)
K (0.169, 0.267, 0.100)
K (0.171, 0.274, 0.718)
K (0.177, 0.512, 0.599)
K (0.209, 0.639, 0.480)
K (0.211, 0.487, 0.786)
K (0.220, 0.309, 0.446)
K (0.253, 0.846, 0.996)
K (0.258, 0.671, 0.022)
K (0.268, 0.865, 0.546)
K (0.272, 0.189, 0.547)
K (0.276, 0.713, 0.355)
K (0.288, 0.983, 0.393)
K (0.297, 0.022, 0.220)
K (0.311, 0.521, 0.213)
K (0.316, 0.945, 0.858)
K (0.319, 0.236, 0.282)
K (0.348, 0.236, 0.891)
K (0.403, 0.334, 0.124)
K (0.414, 0.366, 0.776)
K (0.414, 0.455, 0.648)
K (0.416, 0.747, 0.256)
K (0.417, 0.649, 0.666)
K (0.455, 0.874, 0.746)
K (0.466, 0.574, 0.970)
K (0.472, 0.050, 0.611)
K (0.482, 0.591, 0.493)
K (0.484, 0.125, 0.029)
K (0.487, 0.886, 0.161)
K (0.513, 0.114, 0.839)
K (0.516, 0.875, 0.971)
K (0.518, 0.409, 0.507)
K (0.528, 0.950, 0.389)
K (0.534, 0.426, 0.030)
K (0.545, 0.126, 0.254)
K (0.583, 0.351, 0.334)
K (0.584, 0.253, 0.744)
K (0.586, 0.545, 0.352)
K (0.586, 0.634, 0.224)
K (0.597, 0.666, 0.876)
K (0.652, 0.764, 0.109)
K (0.681, 0.764, 0.718)
K (0.684, 0.055, 0.142)
K (0.689, 0.479, 0.787)
K (0.703, 0.978, 0.780)
K (0.712, 0.017, 0.607)
K (0.724, 0.287, 0.645)
K (0.728, 0.811, 0.453)
K (0.732, 0.135, 0.454)
K (0.742, 0.329, 0.978)
K (0.747, 0.154, 0.004)
K (0.780, 0.691, 0.554)
K (0.789, 0.513, 0.214)
K (0.791, 0.361, 0.520)
K (0.823, 0.488, 0.401)
K (0.829, 0.726, 0.282)
K (0.831, 0.733, 0.900)
K (0.867, 0.244, 0.299)
K (0.890, 0.892, 0.720)
K (0.895, 0.787, 0.115)
K (0.897, 0.991, 0.231)
K (0.926, 0.137, 0.655)
K (0.966, 0.381, 0.757)
K (0.968, 0.565, 0.628)
K (0.979, 0.053, 0.941)
K (0.991, 0.198, 0.146)
K (0.993, 0.394, 0.967)
K (0.995, 0.394, 0.158)
In (0.031, 0.299, 0.523)
In (0.156, 0.821, 0.161)
In (0.245, 0.057, 0.024)
In (0.253, 0.073, 0.666)
In (0.253, 0.460, 0.987)
In (0.260, 0.440, 0.346)
In (0.328, 0.688, 0.842)
In (0.486, 0.202, 0.484)
In (0.514, 0.798, 0.516)
In (0.672, 0.312, 0.158)
In (0.740, 0.560, 0.654)
In (0.747, 0.540, 0.013)
In (0.747, 0.927, 0.334)
In (0.755, 0.943, 0.976)
In (0.844, 0.179, 0.839)
In (0.969, 0.701, 0.477)
O (0.035, 0.189, 0.406)
O (0.042, 0.607, 0.520)
O (0.057, 0.745, 0.418)
O (0.062, 0.767, 0.011)
O (0.097, 0.935, 0.224)
O (0.113, 0.506, 0.920)
O (0.128, 0.732, 0.210)
O (0.129, 0.121, 0.709)
O (0.137, 0.944, 0.898)
O (0.148, 0.322, 0.281)
O (0.158, 0.655, 0.800)
O (0.168, 0.101, 0.118)
O (0.180, 0.532, 0.304)
O (0.193, 0.009, 0.517)
O (0.199, 0.355, 0.618)
O (0.211, 0.375, 0.036)
O (0.276, 0.156, 0.988)
O (0.308, 0.488, 0.495)
O (0.319, 0.150, 0.390)
O (0.321, 0.397, 0.890)
O (0.321, 0.987, 0.725)
O (0.322, 0.862, 0.196)
O (0.358, 0.779, 0.794)
O (0.377, 0.183, 0.720)
O (0.377, 0.571, 0.100)
O (0.383, 0.573, 0.783)
O (0.391, 0.008, 0.074)
O (0.395, 0.411, 0.311)
O (0.425, 0.744, 0.991)
O (0.426, 0.885, 0.469)
O (0.431, 0.751, 0.577)
O (0.499, 0.686, 0.392)
O (0.501, 0.314, 0.608)
O (0.569, 0.249, 0.423)
O (0.574, 0.115, 0.531)
O (0.575, 0.256, 0.009)
O (0.605, 0.589, 0.689)
O (0.609, 0.992, 0.926)
O (0.617, 0.427, 0.217)
O (0.623, 0.429, 0.900)
O (0.623, 0.817, 0.280)
O (0.642, 0.221, 0.206)
O (0.678, 0.138, 0.804)
O (0.679, 0.013, 0.275)
O (0.679, 0.603, 0.110)
O (0.681, 0.850, 0.610)
O (0.692, 0.512, 0.505)
O (0.724, 0.844, 0.012)
O (0.789, 0.625, 0.964)
O (0.801, 0.645, 0.382)
O (0.807, 0.991, 0.483)
O (0.820, 0.468, 0.696)
O (0.832, 0.899, 0.882)
O (0.842, 0.345, 0.200)
O (0.852, 0.678, 0.719)
O (0.863, 0.056, 0.102)
O (0.871, 0.879, 0.291)
O (0.872, 0.268, 0.790)
O (0.887, 0.494, 0.080)
O (0.903, 0.065, 0.776)
O (0.938, 0.233, 0.989)
O (0.943, 0.255, 0.582)
O (0.958, 0.393, 0.480)
O (0.965, 0.811, 0.594)

Properties
- final energy (Ry/atom) = -0.3020
- E_form (eV/atom) = -1.574
- space group = P-1
- spin magnetization (μB per formula unit) = 0.000
- calculated volume (Å³ per atom) = 20.04